Record 1
Compound: KZnH6Br3
Source: Materials Project
Functional: GGA-PBE
Structure: relaxed

Values from the calculation:
E: -115.35 eV/cell

```
data_KZnH6Br3
_cell_length_a 6.925
_cell_length_b 13.750
_cell_length_c 11.302
_cell_angle_alpha 90.00
_cell_angle_beta 109.95
_cell_angle_gamma 90.00
_symmetry_space_group_name_H-M 'P 1 21/c 1'
_symmetry_Int_Tables_number 14
loop_
_symmetry_equiv_pos_as_xyz
'x,y,z'
'-x,-y,-z'
'-x,y+1/2,-z+1/2'
'x,-y+1/2,z+1/2'
loop_
_atom_site_label
_atom_site_fract_x
_atom_site_fract_y
_atom_site_fract_z
K1 0.206 0.173 0.494
Zn1 0.482 0.051 0.272
H1 0.021 0.162 0.774
H2 0.075 0.651 0.667
H3 0.149 0.642 0.622
H4 0.331 0.728 0.282
H5 0.362 0.703 0.346
H6 0.460 0.652 0.488
Br1 0.168 0.133 0.186
Br2 0.296 0.597 0.023
Br3 0.407 0.090 0.803
```

---

Record 2
Compound: Li4H3BrO3
Source: Materials Project
Functional: GGA-PBE
Structure: relaxed

Values from the calculation:
E: -103.17 eV/cell

```
data_Li4H3BrO3
_cell_length_a 5.541
_cell_length_b 7.731
_cell_length_c 6.625
_cell_angle_alpha 90.00
_cell_angle_beta 94.02
_cell_angle_gamma 90.00
_symmetry_space_group_name_H-M 'P 1 21/m 1'
_symmetry_Int_Tables_number 11
loop_
_symmetry_equiv_pos_as_xyz
'x,y,z'
'-x,-y,-z'
'-x,y+1/2,-z'
'x,-y+1/2,z'
loop_
_atom_site_label
_atom_site_fract_x
_atom_site_fract_y
_atom_site_fract_z
Li1 0.078 0.250 0.419
Li2 0.351 0.522 0.632
Li3 0.402 0.250 0.193
H1 0.175 0.750 0.859
H2 0.201 0.528 0.276
Br1 0.172 0.250 0.832
O1 0.247 0.750 0.727
O2 0.293 0.058 0.355
```

---

Respective size of the total moment values: 0.0 0.0 Bohr magnetons per cell.
Respective MP2020-corrected energy values: -2.77 -4.88 eV per atom.
Respective theoretical density values: 2.3 1.9 Mg/m³.